Entry 1:
Computed, not measured: a relaxed structure of KGdB4H16 at the GGA-PBE level of DFT.

Geometry as extended XYZ:
```
44
Lattice="-1.9345 7.1104 2.4630 -1.2449 -2.9706 7.5983 7.6572 -0.0569 1.2323" Properties=species:S:1:pos:R:3 pbc="T T T"
H 1.5146 -0.4858 1.6277
H 4.5281 5.1300 4.0151
H 5.3628 3.3824 4.3782
H 4.8047 4.1108 8.9740
H 2.9614 0.7143 7.4234
H 4.0487 -0.4305 6.2445
H 5.3818 4.0841 2.5064
H 3.2362 2.9670 8.4672
H 2.9633 4.5686 9.6658
H -0.5773 3.0314 7.7590
H -0.7703 3.9356 9.5814
H 2.1375 0.0230 5.7368
H 0.9385 2.6458 5.6421
H 5.0552 1.0514 3.5345
H 5.2481 0.1473 1.7121
H 0.9364 4.0444 8.6005
H 3.4600 4.8657 7.7457
H 1.5165 3.3686 3.8701
H 0.4292 4.5133 5.0490
H 1.2416 1.1159 2.8263
H -0.8849 0.7005 6.9153
H -0.0503 -1.0471 7.2784
H -0.6788 5.0422 7.9113
H 1.0178 -0.7828 3.5478
H 5.1567 -0.9593 3.3822
H -1.1147 4.9799 2.6601
H -0.9039 -0.0013 8.7871
H 5.5925 -0.8971 8.6334
H 2.3403 4.0598 5.5567
H -0.3269 -0.0280 2.3195
H 3.5393 1.4371 5.6514
H 3.5415 0.0384 2.6930
B -0.2949 3.9876 8.4379
B 3.1753 0.4532 6.2608
B 4.7727 0.0952 2.8556
B -0.9753 -0.2867 7.6102
B 3.5906 4.0947 8.7074
B 0.8873 -0.0119 2.5861
B 5.4532 4.3696 3.6833
B 1.3025 3.6296 5.0327
Gd 3.2062 -1.5138 4.4153
Gd 0.0000 0.0000 0.0000
K 2.8614 3.5267 1.8476
K -1.5897 2.0699 5.0306
```

Energy relative to the elements (eV/atom): -0.40
E (eV/atom): -4.65

---

Entry 2:
Computed, not measured: a relaxed structure of Ti8Ga3Co4Si at the GGA-PBE level of DFT.

Geometry as extended XYZ:
```
16
Lattice="1.4927 3.3572 2.2452 2.6781 -3.1528 -1.1949 3.0548 4.5904 -13.0236" Properties=species:S:1:pos:R:3 pbc="T T T"
Ga 2.0516 1.6036 0.3670
Ga 3.1138 1.1290 -3.7583
Ga 4.1754 0.6530 -7.8812
Si 4.0404 6.6586 -8.5139
Co 4.5983 4.9024 -10.3875
Co 3.6769 -0.6139 -5.6555
Co 2.6148 -0.1394 -1.5300
Co 3.5637 5.4470 -6.3854
Ti 5.1716 3.1853 -12.3300
Ti 4.6740 1.9206 -10.1081
Ti 4.1190 3.6842 -8.2473
Ti 2.5513 2.8737 -1.8645
Ti 3.6145 2.4019 -5.9946
Ti 4.5413 7.9319 -10.7509
Ti 3.0526 4.1480 -4.1031
Ti 3.1797 -1.8777 -3.4351
```

Energy relative to the elements (eV/atom): -0.29
E (eV/atom): -6.92

---

Entry 3:
Computed, not measured: a relaxed structure of EuP7 at the GGA-PBE level of DFT.

Geometry as extended XYZ:
```
32
Lattice="5.7560 0.0000 0.0000 0.0000 10.7102 0.0000 0.0000 7.4991 11.0812" Properties=species:S:1:pos:R:3 pbc="T T T"
P 4.0496 1.4383 1.5220
P 0.5472 9.3168 8.0024
P 1.1716 13.0214 4.0186
P 1.1922 2.5401 0.3347
P 3.1138 3.1670 4.5980
P 1.6197 6.7240 0.7213
P 4.4977 7.7357 4.8193
P 2.3308 5.5672 2.4618
P 3.1895 9.4473 10.6218
P 3.2631 11.0457 7.0754
P 3.4252 12.6420 8.6194
P 1.7064 16.7709 9.5592
P 1.6858 6.2896 5.8753
P 4.0702 11.9196 5.2059
P 5.5202 6.9165 10.1386
P 5.2088 8.8925 3.0788
P 4.5638 15.6692 10.7465
P 2.5665 8.7619 0.4594
P 0.2358 11.2927 0.9427
P 4.1363 11.4852 10.3599
P 5.4445 5.6978 5.0812
P 2.6422 15.0422 6.4833
P 0.3851 10.9130 9.5465
P 5.3709 7.2962 1.5347
P 1.2583 10.4735 6.2619
P 2.4929 7.1635 4.0059
P 0.3115 12.5115 6.0001
P 4.5844 5.1878 7.0627
Eu 3.4940 8.0128 7.9173
Eu 5.1400 4.2633 2.3767
Eu 0.6160 13.9459 8.7045
Eu 2.2620 10.1964 3.1639
```

Energy relative to the elements (eV/atom): -0.34
E (eV/atom): -6.36

---

Entry 4:
Computed, not measured: a relaxed structure of CuS at the GGA-PBE level of DFT.

Geometry as extended XYZ:
```
2
Lattice="0.5066 -2.8066 1.9423 1.3236 0.3125 3.1712 -1.9876 -0.5678 2.7628" Properties=species:S:1:pos:R:3 pbc="T T T"
S -0.0787 -1.5310 3.9382
Cu 0.0000 0.0000 0.0000
```

Energy relative to the elements (eV/atom): -0.32
E (eV/atom): -4.19

---

Entry 5:
Computed, not measured: a relaxed structure of Dy3NbO7 at the GGA-PBE level of DFT.

Geometry as extended XYZ:
```
22
Lattice="-5.0315 -0.6101 -1.8188 -2.6267 -0.6641 7.0801 -2.4724 7.0105 3.6651" Properties=species:S:1:pos:R:3 pbc="T T T"
O -5.0521 2.9591 7.7650
O -5.8862 2.5146 3.5423
O -6.1081 4.9469 2.5735
O -8.3311 5.9874 7.5753
O -3.3188 4.6547 3.1000
O -5.4542 2.9311 0.6852
O -7.3509 3.9989 5.6681
O -5.6580 6.0505 8.1903
O -4.6781 0.2657 1.8614
O -4.3433 6.5579 4.9633
O -6.8759 0.8398 5.8263
O -3.5290 3.3594 5.3576
O -4.0819 0.9695 6.4136
O -2.5944 1.7281 3.2079
Dy -5.2828 4.5411 4.5154
Dy -4.6317 0.7567 4.1603
Dy -5.2107 6.2415 10.4490
Dy -8.7600 5.9356 5.3502
Dy -3.2290 1.4172 0.8130
Dy -6.9991 4.2845 8.0923
Nb -6.9352 2.8356 1.9557
Nb -3.2392 2.7524 7.1915
```

Energy relative to the elements (eV/atom): -3.70
Energy above the lowest structure with this stoichiometry (kJ/mol of formula units): 0
E (eV/atom): -8.59

---

Entry 6:
Computed, not measured: a relaxed structure of UCuO6 at the GGA-PBE level of DFT.

Geometry as extended XYZ:
```
16
Lattice="-3.7955 -3.3848 1.5665 0.0641 -3.2794 -4.7922 4.8622 -5.4321 2.1354" Properties=species:S:1:pos:R:3 pbc="T T T"
O -2.5654 -5.8634 -1.1535
O 0.6744 -6.0869 0.9394
O 0.2172 -10.4961 -1.4840
O 0.9135 -1.6002 0.3937
O 2.1175 -3.8293 -0.2353
O 3.6962 -6.2329 0.0632
O 0.4564 -6.0094 -2.0297
O -0.9868 -8.2670 -0.8550
O -1.1782 -4.0298 -3.5974
O -0.4641 -3.5906 -0.9702
O 1.5949 -8.5057 -0.1201
O 2.3089 -8.0665 2.5070
Cu -0.7815 -2.1347 0.0796
Cu 1.9123 -9.9616 -1.1699
U 0.9272 -4.2516 -2.2682
U 0.2036 -7.8447 1.1779
```

Energy relative to the elements (eV/atom): -1.71
E (eV/atom): -6.83

---

Entry 7:
Computed, not measured: a relaxed structure of CeSF at the GGA-PBE level of DFT.

Geometry as extended XYZ:
```
6
Lattice="3.9454 0.0000 0.0000 0.0000 3.9454 0.0000 0.0000 0.0000 7.0226" Properties=species:S:1:pos:R:3 pbc="T T T"
F 1.9727 1.9727 0.0000
F 0.0000 0.0000 0.0000
Ce 0.0000 1.9727 5.3727
Ce 1.9727 0.0000 1.6499
S 1.9727 0.0000 4.5463
S 0.0000 1.9727 2.4764
```

Energy relative to the elements (eV/atom): -3.24
E (eV/atom): -6.91

---

Entry 8:
Computed, not measured: a relaxed structure of Ce4ThO8 at the GGA-PBE level of DFT.

Geometry as extended XYZ:
```
13
Lattice="-1.9612 1.9813 13.9004 1.9612 -1.9813 13.9004 1.9612 1.9813 -13.9004" Properties=species:S:1:pos:R:3 pbc="T T T"
Ce 0.0000 1.9813 8.2463
Ce 1.9612 0.0000 5.6541
Ce 1.9612 0.0000 11.2018
Ce 0.0000 1.9813 2.6986
O 0.0000 0.0000 7.1788
O 0.0000 0.0000 23.5871
O 0.0000 0.0000 20.6220
O 0.0000 0.0000 12.4221
O 0.0000 0.0000 26.4453
O 0.0000 0.0000 1.3556
O 0.0000 0.0000 15.3787
O 0.0000 0.0000 4.2138
Th 1.9612 0.0000 0.0000
```

Energy relative to the elements (eV/atom): -3.85
E (eV/atom): -8.87

---

Entry 9:
Computed, not measured: a relaxed structure of Ce2CN2O2 at the GGA-PBE level of DFT.

Geometry as extended XYZ:
```
7
Lattice="1.9587 -3.3925 0.0000 1.9587 3.3925 0.0000 0.0000 0.0000 8.3612" Properties=species:S:1:pos:R:3 pbc="T T T"
O 1.9587 -1.1308 3.3040
O 1.9587 1.1308 5.0572
C 0.0000 0.0000 0.0000
Ce 1.9587 1.1308 2.6922
Ce 1.9587 -1.1308 5.6689
N 0.0000 0.0000 1.2372
N 0.0000 0.0000 7.1240
```

Energy relative to the elements (eV/atom): -2.23
E (eV/atom): -8.84

---

Entry 10:
Computed, not measured: a relaxed structure of Ti2Zn3Si4O14 at the GGA-PBE level of DFT.

Geometry as extended XYZ:
```
46
Lattice="4.5702 -7.9655 -0.5018 4.7627 -4.5577 6.4134 -3.9992 -7.9856 4.0466" Properties=species:S:1:pos:R:3 pbc="T T T"
O 1.4644 -9.7725 7.1527
O 2.0906 -5.3032 0.5751
O 3.8693 -10.7363 2.8055
O 2.7830 -11.9466 5.0023
O 0.4566 -8.8748 2.7071
O 0.5149 -13.1949 5.6806
O 2.5507 -8.5622 4.9559
O 3.3576 -7.6640 1.3057
O 1.9761 -12.8448 8.6525
O 4.3629 -8.9316 7.2092
O -1.5648 -5.6285 3.0490
O 2.2867 -6.1544 3.0696
O 0.2826 -10.2267 4.9314
O 3.2431 -15.2056 9.3830
O 2.8035 -16.9373 6.6149
O 2.2322 -15.2458 4.5218
O 0.9708 -11.5772 2.7490
O 4.9093 -18.6894 9.3052
O 5.0511 -10.2821 5.0268
O 3.1016 -5.2630 5.4364
O 2.5302 -3.5714 3.3433
O 0.1796 -7.7267 5.7827
O 4.8771 -11.6340 7.2511
O 6.8985 -14.8803 6.9092
O 4.8188 -7.3139 4.2776
O 0.4245 -1.8194 0.6530
O 3.0470 -14.3544 6.8886
O 5.1541 -12.7821 4.1754
Zn -0.7121 -7.2937 2.7053
Zn 1.6875 -11.8892 6.7246
Zn 3.6462 -8.6196 3.2336
Zn 1.3282 -2.5806 2.1436
Zn 4.0056 -17.9282 7.8146
Zn 6.0459 -13.2151 7.2529
Si 0.0597 -10.3434 3.3033
Si 4.1623 -11.4668 4.2853
Si 2.2186 -14.4693 8.3183
Si 5.2740 -10.1654 6.6549
Si 3.1151 -6.0395 1.6399
Si 3.1942 -15.5786 5.7959
Si 1.1714 -9.0419 5.6729
Si 2.1395 -4.9302 4.1623
Ti -1.9996 -3.9928 2.0233
Ti 1.6066 -13.3212 3.8185
Ti 0.0000 0.0000 0.0000
Ti 3.7271 -7.1875 6.1397
```

Energy relative to the elements (eV/atom): -2.79
E (eV/atom): -7.18

---

Entry 11:
Computed, not measured: a relaxed structure of MgTi2P2H2O10 at the GGA-PBE level of DFT.

Geometry as extended XYZ:
```
17
Lattice="-3.3339 3.4660 2.6279 -4.0166 -5.7094 -2.3131 2.7319 -1.4123 4.2795" Properties=species:S:1:pos:R:3 pbc="T T T"
O -0.8411 -5.1067 2.1756
O -1.8211 -0.4917 3.9694
O -4.3962 -3.4475 2.6046
O -3.6598 1.4752 2.4673
O -5.4006 -2.6986 0.3036
O -4.4116 -1.0275 1.9449
O -0.6370 -2.5060 2.9671
O -0.2926 -0.1491 2.0044
O -2.9082 -2.8124 0.8337
O 0.7107 -0.7389 4.2049
P -0.5182 -0.9687 3.2839
P -4.3311 -2.4584 1.3992
Mg -2.2953 -3.8075 2.5874
Ti -1.9529 -2.6744 -1.0433
Ti -0.1988 -0.0434 0.0632
H -3.9613 -1.4086 3.8670
H -2.9761 0.8551 2.8082
```

Energy relative to the elements (eV/atom): -2.69
E (eV/atom): -7.26

---

Entry 12:
Computed, not measured: a relaxed structure of Pa at the GGA-PBE level of DFT.

Geometry as extended XYZ:
```
2
Lattice="-3.0031 -0.8764 -0.5308 2.2632 -0.7408 -2.0970 0.9389 -4.8740 2.7351" Properties=species:S:1:pos:R:3 pbc="T T T"
Pa 0.7425 -2.0045 -0.8912
Pa -0.5435 -4.4867 0.9984
```

Energy relative to the elements (eV/atom): 0.03
Energy above the lowest structure with this stoichiometry (kJ/mol of formula units): 3
E (eV/atom): -9.49